Entry 1:
{"formula": "Zn3InCuS5", "functional": "PBE", "state": "relaxed", "cell": [[6.365, 0.000, 0.000], [-0.001, 6.719, 0.000], [-0.001, -3.355, 9.699]], "species": ["Zn", "Zn", "Zn", "Zn", "Zn", "Zn", "In", "In", "Cu", "Cu", "S", "S", "S", "S", "S", "S", "S", "S", "S", "S"], "frac_coords": [[0.000, 0.000, 0.000], [0.001, 0.207, 0.410], [0.493, 0.938, 0.205], [0.499, 0.335, 0.006], [0.506, 0.739, 0.809], [0.998, 0.804, 0.612], [0.001, 0.599, 0.207], [0.499, 0.137, 0.608], [0.500, 0.538, 0.408], [0.999, 0.408, 0.807], [0.364, 0.416, 0.816], [0.370, 0.210, 0.398], [0.370, 0.786, 0.605], [0.372, 0.005, 0.008], [0.393, 0.604, 0.209], [0.864, 0.535, 0.417], [0.868, 0.951, 0.207], [0.870, 0.327, 0.996], [0.874, 0.735, 0.808], [0.892, 0.140, 0.609]], "ef_ev_per_atom": -0.918, "dft_energy_ev_per_cell": -75.950, "space_group": "P1, No. 1"}

***

Entry 2:
{"formula": "Zn2InCuS4", "functional": "PBE", "state": "relaxed", "cell": [[-2.755, 2.755, 5.513], [2.755, -2.755, 5.513], [2.755, 2.755, -5.513]], "species": ["Zn", "Zn", "In", "Cu", "S", "S", "S", "S"], "frac_coords": [[0.250, 0.750, 0.500], [0.750, 0.250, 0.500], [0.000, 0.000, 0.000], [0.500, 0.500, 0.000], [0.136, 0.607, 0.000], [0.393, 0.393, 0.528], [0.607, 0.136, 0.000], [0.864, 0.864, 0.472]], "ef_ev_per_atom": -0.891, "dft_energy_ev_per_cell": -31.034, "space_group": "I-42m, No. 121"}

***

Entry 3:
{"formula": "Sc2InCu2", "functional": "PBE", "state": "relaxed", "cell": [[7.341, 0.000, 0.000], [0.000, 7.341, 0.000], [0.000, 0.000, 3.384]], "species": ["Sc", "Sc", "Sc", "Sc", "In", "In", "Cu", "Cu", "Cu", "Cu"], "frac_coords": [[0.168, 0.332, 0.000], [0.332, 0.832, 0.000], [0.668, 0.168, 0.000], [0.832, 0.668, 0.000], [0.000, 0.000, 0.500], [0.500, 0.500, 0.500], [0.124, 0.624, 0.500], [0.376, 0.124, 0.500], [0.624, 0.876, 0.500], [0.876, 0.376, 0.500]], "ef_ev_per_atom": -0.369, "dft_energy_ev_per_cell": -50.916, "space_group": "P4/mbm, No. 127"}

***

Entry 4:
{"formula": "ScInCu4", "functional": "PBE", "state": "relaxed", "cell": [[0.000, 3.539, 3.539], [3.539, 0.000, 3.539], [3.539, 3.539, 0.000]], "species": ["Sc", "In", "Cu", "Cu", "Cu", "Cu"], "frac_coords": [[0.000, 0.000, 0.000], [0.750, 0.750, 0.750], [0.375, 0.375, 0.375], [0.375, 0.375, 0.876], [0.375, 0.876, 0.375], [0.876, 0.375, 0.375]], "ef_ev_per_atom": -0.260, "dft_energy_ev_per_cell": -27.042, "space_group": "F-43m, No. 216"}